Entry 1:
The following is a PBE calculation of BaYBr5 after structural relaxation, from the Materials Project database. Values from VASP.

Calculated values
**Energy relative to the lowest polymorph listed for this composition**: 0.00 eV/f.u.
**SG**: No. 14
**Energy with MP2020 corrections**: -0.174 Ha/atom

Geometry as Quantum ESPRESSO input:
```
&SYSTEM
  ibrav = 0, nat = 56, ntyp = 3
/
ATOMIC_SPECIES
Ba 137.33 Ba.upf
Y 88.91 Y.upf
Br 79.90 Br.upf
ATOMIC_POSITIONS angstrom
Ba -17.702 -9.693 -4.834
Ba -16.874 -4.179 -7.117
Ba -13.679 -8.740 -9.853
Ba -3.931 0.141 -1.183
Ba -22.603 -11.173 -10.014
Ba -12.856 -2.292 -1.343
Ba -9.660 -6.853 -4.080
Ba -8.833 -1.339 -6.362
Y -11.898 -10.951 -6.155
Y -11.312 -4.474 -9.191
Y -9.335 0.363 0.785
Y -19.110 -7.653 -8.783
Y -7.425 -3.379 -2.413
Y -17.200 -11.395 -11.981
Y -15.223 -6.558 -2.005
Y -14.636 -0.081 -5.041
Br -11.753 -8.343 -6.995
Br -6.936 3.060 4.467
Br -16.699 -6.377 -4.323
Br -14.677 -10.852 -6.128
Br -11.697 -1.788 -8.642
Br -9.020 -3.419 -10.579
Br -12.107 -11.890 -8.785
Br -13.747 -5.375 -8.276
Br -10.755 -6.956 -10.358
Br -15.154 -1.243 -7.560
Br -16.506 -7.816 -7.764
Br -4.850 -3.164 -1.279
Br -6.906 1.471 -0.056
Br -10.067 2.722 2.001
Br -19.746 -6.179 -6.513
Br -15.723 -11.576 -9.664
Br -8.335 -2.207 -0.042
Br -11.343 -1.222 1.845
Br -19.844 -9.990 -7.547
Br -15.296 -6.441 -11.806
Br -11.238 -4.590 0.610
Br -6.691 -1.042 -3.649
Br -15.192 -9.810 -13.041
Br -18.200 -8.824 -11.154
Br -10.811 0.544 -1.532
Br -6.789 -4.852 -4.684
Br -16.467 -13.753 -13.197
Br -19.628 -12.503 -11.140
Br -21.685 -7.868 -9.918
Br -10.029 -3.216 -3.432
Br -11.381 -9.788 -3.636
Br -15.779 -4.075 -0.838
Br -12.788 -5.657 -2.920
Br -14.428 0.859 -2.411
Br -17.515 -7.613 -0.617
Br -14.838 -9.244 -2.555
Br -11.858 -0.179 -5.068
Br -9.836 -4.655 -6.873
Br -19.599 -14.092 -15.663
Br -14.782 -2.688 -4.201
CELL_PARAMETERS angstrom
-8.365 3.851 5.628
-7.385 -0.584 -10.577
-10.785 -14.298 -6.247
```



Entry 2:
The following is a PBE calculation of Tm6Ta4Al43 after structural relaxation, from the Materials Project database. Values from VASP.

Calculated values
**SG**: No. 193

Geometry as Quantum ESPRESSO input:
```
&SYSTEM
  ibrav = 0, nat = 106, ntyp = 3
/
ATOMIC_SPECIES
Tm 168.93 Tm.upf
Ta 180.95 Ta.upf
Al 26.98 Al.upf
ATOMIC_POSITIONS angstrom
Tm 2.945 -5.101 10.525
Tm 2.608 -4.518 7.120
Tm 2.945 5.101 10.525
Tm 2.608 -4.518 1.702
Tm 2.945 5.101 15.943
Tm 2.608 4.518 7.120
Tm 2.945 -5.101 15.943
Tm 2.608 4.518 1.702
Tm 5.216 0.000 10.525
Tm 5.891 0.000 7.120
Tm 5.891 0.000 1.702
Tm 5.216 0.000 15.943
Ta 0.000 0.000 8.822
Ta 0.000 0.000 0.000
Ta 4.026 -6.973 13.234
Ta 1.527 -2.646 4.411
Ta 4.026 6.973 13.234
Ta 1.527 2.646 4.411
Ta 3.055 0.000 13.234
Ta 8.052 0.000 4.411
Al 4.139 4.285 13.234
Al 6.968 -4.285 4.411
Al 5.327 1.442 13.234
Al 4.139 -4.285 13.234
Al 5.780 -1.442 4.411
Al 6.968 4.285 4.411
Al 7.195 3.892 13.234
Al 5.327 -1.442 13.234
Al 3.912 -3.892 4.411
Al 5.780 1.442 4.411
Al 7.195 -3.892 13.234
Al 3.912 3.892 4.411
Al 0.885 -1.533 2.030
Al 4.668 -8.086 15.615
Al 0.885 1.533 2.030
Al 4.668 -8.086 10.852
Al 0.885 1.533 6.793
Al 4.668 8.086 15.615
Al 0.885 -1.533 6.793
Al 4.668 8.086 10.852
Al 9.337 0.000 2.030
Al 1.770 0.000 15.615
Al 1.770 0.000 10.852
Al 9.337 0.000 6.793
Al 4.116 2.376 8.822
Al 6.991 -2.376 8.822
Al 6.991 2.376 8.822
Al 6.991 -2.376 0.000
Al 4.116 -2.376 0.000
Al 4.116 -2.376 8.822
Al 4.116 2.376 0.000
Al 6.991 2.376 0.000
Al 5.554 4.866 8.822
Al 5.554 -4.866 8.822
Al 5.554 -4.866 0.000
Al 5.554 4.866 0.000
Al 0.818 -1.417 13.234
Al 4.736 -8.202 4.411
Al 0.818 1.417 13.234
Al 4.736 8.202 4.411
Al 9.471 0.000 13.234
Al 1.636 0.000 4.411
Al 5.554 3.206 11.049
Al 5.554 -3.206 6.595
Al 5.554 -3.206 2.227
Al 5.554 -3.206 15.418
Al 5.554 3.206 15.418
Al 5.554 3.206 2.227
Al 5.554 3.206 6.595
Al 5.554 -3.206 11.049
Al 1.426 -2.470 9.357
Al 4.127 -7.149 8.288
Al 1.426 2.470 9.357
Al 4.127 -7.149 0.535
Al 1.426 2.470 17.110
Al 4.127 7.149 8.288
Al 1.426 -2.470 17.110
Al 4.127 7.149 0.535
Al 8.255 0.000 9.357
Al 2.852 0.000 8.288
Al 2.852 0.000 0.535
Al 8.255 0.000 17.110
Al 3.066 2.287 11.700
Al 8.041 -2.287 5.945
Al 7.594 1.511 11.700
Al 8.041 -2.287 2.878
Al 3.066 -2.287 14.767
Al 3.513 -1.511 5.945
Al 3.066 2.287 14.767
Al 8.041 2.287 2.878
Al 6.001 5.820 11.700
Al 3.513 -1.511 2.878
Al 7.594 -1.511 14.767
Al 5.106 -5.820 5.945
Al 7.594 1.511 14.767
Al 3.513 1.511 2.878
Al 8.041 2.287 5.945
Al 3.066 -2.287 11.700
Al 5.106 -5.820 2.878
Al 3.513 1.511 5.945
Al 6.001 5.820 14.767
Al 7.594 -1.511 11.700
Al 6.001 -5.820 14.767
Al 5.106 5.820 2.878
Al 5.106 5.820 5.945
Al 6.001 -5.820 11.700
CELL_PARAMETERS angstrom
5.554 -9.619 0.000
5.554 9.619 0.000
0.000 0.000 17.645
```



Entry 3:
The following is a PBE calculation of PtCl2 after structural relaxation, from the Materials Project database. Values from VASP.

Calculated values
**SG**: No. 12
**Energy with MP2020 corrections**: -0.147 Ha/atom

Geometry as Quantum ESPRESSO input:
```
&SYSTEM
  ibrav = 0, nat = 6, ntyp = 2
/
ATOMIC_SPECIES
Pt 195.08 Pt.upf
Cl 35.45 Cl.upf
ATOMIC_POSITIONS angstrom
Pt 0.000 7.920 5.936
Pt 0.000 7.527 1.947
Cl 0.000 12.942 6.129
Cl 0.000 2.506 1.755
Cl 0.000 12.545 2.124
Cl 0.000 2.902 5.759
CELL_PARAMETERS angstrom
1.728 6.562 0.000
-1.728 6.562 0.000
0.000 2.323 7.884
```



Entry 4:
The following is a PBE calculation of YGe after structural relaxation, from the Materials Project database. Values from VASP.

Calculated values
**SG**: No. 63

Geometry as Quantum ESPRESSO input:
```
&SYSTEM
  ibrav = 0, nat = 4, ntyp = 2
/
ATOMIC_SPECIES
Y 88.91 Y.upf
Ge 72.64 Ge.upf
ATOMIC_POSITIONS angstrom
Y 2.153 3.896 0.992
Y 2.153 -3.896 2.977
Ge 2.153 0.918 0.992
Ge 2.153 -0.918 2.977
CELL_PARAMETERS angstrom
2.153 -5.383 0.000
2.153 5.383 0.000
0.000 0.000 3.969
```



Entry 5:
The following is a PBE calculation of CsMg14SiO16 after structural relaxation, from the Materials Project database. Values from VASP.

Calculated values
**Energy relative to the lowest polymorph listed for this composition**: 0.00 eV/f.u.
**SG**: No. 47
**Energy with MP2020 corrections**: -0.221 Ha/atom

Geometry as Quantum ESPRESSO input:
```
&SYSTEM
  ibrav = 0, nat = 32, ntyp = 4
/
ATOMIC_SPECIES
Cs 132.91 Cs.upf
Mg 24.30 Mg.upf
Si 28.09 Si.upf
O 16.00 O.upf
ATOMIC_POSITIONS angstrom
Cs -0.647 -2.935 3.024
Mg -4.324 0.878 -0.073
Mg -4.971 -2.056 2.951
Mg -0.019 0.168 3.128
Mg -0.674 -2.802 6.189
Mg -4.346 1.033 3.069
Mg -4.995 -1.910 6.102
Mg -1.856 2.056 1.598
Mg -2.595 -0.860 4.621
Mg -6.190 2.936 1.524
Mg -6.746 -0.017 4.550
Mg -2.596 -1.004 1.473
Mg -3.244 -3.942 4.500
Mg -6.699 -0.171 1.403
Mg -7.347 -3.108 4.430
Si 0.000 0.000 0.000
O -2.055 0.417 -0.035
O -3.128 -2.431 2.982
O -6.594 1.339 -0.112
O -6.815 -1.682 2.920
O -2.180 0.593 3.106
O -2.829 -2.349 6.138
O -6.512 1.472 3.033
O -7.161 -1.470 6.065
O 0.301 1.618 1.634
O -0.346 -1.317 4.659
O -4.023 2.496 1.561
O -4.671 -0.439 4.585
O -0.255 -1.154 1.189
O -1.040 -4.716 4.860
O -4.633 -0.522 1.370
O -5.310 -3.591 4.533
CELL_PARAMETERS angstrom
-8.648 1.757 -0.146
-1.295 -5.869 6.049
0.602 3.236 3.268
```



Entry 6:
The following is a PBE calculation of TbMgAg after structural relaxation, from the Materials Project database. Values from VASP.

Calculated values
**SG**: No. 189

Geometry as Quantum ESPRESSO input:
```
&SYSTEM
  ibrav = 0, nat = 9, ntyp = 3
/
ATOMIC_SPECIES
Tb 158.93 Tb.upf
Mg 24.30 Mg.upf
Ag 107.87 Ag.upf
ATOMIC_POSITIONS angstrom
Tb 2.284 -3.956 0.000
Tb 2.284 3.956 0.000
Tb 3.184 0.000 0.000
Mg 0.959 -1.661 2.067
Mg 0.959 1.661 2.067
Mg 5.834 0.000 2.067
Ag 3.876 2.238 2.067
Ag 3.876 -2.238 2.067
Ag 0.000 0.000 0.000
CELL_PARAMETERS angstrom
3.876 -6.713 0.000
3.876 6.713 0.000
0.000 0.000 4.134
```



Entry 7:
The following is a PBE calculation of Eu2AgSn after structural relaxation, from the Materials Project database. Values from VASP.

Calculated values
**SG**: No. 225

Geometry as Quantum ESPRESSO input:
```
&SYSTEM
  ibrav = 0, nat = 4, ntyp = 3
/
ATOMIC_SPECIES
Eu 151.96 Eu.upf
Ag 107.87 Ag.upf
Sn 118.71 Sn.upf
ATOMIC_POSITIONS angstrom
Eu 1.939 1.939 1.939
Eu 5.818 5.818 5.818
Ag 3.879 3.879 3.879
Sn 0.000 0.000 0.000
CELL_PARAMETERS angstrom
0.000 3.879 3.879
3.879 0.000 3.879
3.879 3.879 0.000
```



Entry 8:
The following is a PBE calculation of KRbMg6 after structural relaxation, from the Materials Project database. Values from VASP.

Calculated values
**Energy relative to the lowest polymorph listed for this composition**: 0.00 eV/f.u.

Geometry as Quantum ESPRESSO input:
```
&SYSTEM
  ibrav = 0, nat = 16, ntyp = 3
/
ATOMIC_SPECIES
K 39.10 K.upf
Rb 85.47 Rb.upf
Mg 24.30 Mg.upf
ATOMIC_POSITIONS angstrom
K 2.603 0.000 2.761
K 2.603 3.313 10.439
Rb 2.603 3.313 2.797
Rb 2.603 0.000 10.475
Mg 2.603 1.661 6.503
Mg 2.603 4.965 6.503
Mg 0.000 4.987 0.541
Mg 0.000 1.639 0.541
Mg 0.000 0.000 5.498
Mg 0.000 3.313 5.564
Mg 2.603 4.974 14.181
Mg 2.603 1.652 14.181
Mg 0.000 1.674 8.219
Mg 0.000 4.951 8.219
Mg 0.000 3.313 13.176
Mg 0.000 0.000 13.241
CELL_PARAMETERS angstrom
5.207 0.000 0.000
0.000 6.626 0.000
0.000 0.000 15.355
```



Entry 9:
The following is a PBE calculation of CaTl6Si2O7 after structural relaxation, from the Materials Project database. Values from VASP.

Calculated values
**SG**: No. 1
**Energy with MP2020 corrections**: -0.208 Ha/atom

Geometry as Quantum ESPRESSO input:
```
&SYSTEM
  ibrav = 0, nat = 16, ntyp = 4
/
ATOMIC_SPECIES
Ca 40.08 Ca.upf
Tl 204.38 Tl.upf
Si 28.09 Si.upf
O 16.00 O.upf
ATOMIC_POSITIONS angstrom
Ca -7.202 3.778 -1.320
Tl -10.429 3.265 -3.961
Tl -12.385 6.123 -3.596
Tl -8.947 7.481 -3.875
Tl -4.397 5.480 -0.500
Tl -2.979 2.192 -1.032
Tl -6.694 0.513 -1.001
Si -10.585 5.412 -1.560
Si -5.338 2.688 -3.517
O -11.938 4.757 -0.853
O -10.303 6.949 -1.036
O -9.303 4.433 -1.269
O -3.990 3.500 -4.050
O -5.287 1.110 -4.022
O -6.744 3.468 -3.943
O -5.299 2.711 -1.855
CELL_PARAMETERS angstrom
-0.076 -0.015 -4.850
-10.256 0.058 -0.150
-5.235 8.259 -0.049
```



Entry 10:
The following is a PBE calculation of HoHfRu2 after structural relaxation, from the Materials Project database. Values from VASP.

Calculated values
**SG**: No. 225

Geometry as Quantum ESPRESSO input:
```
&SYSTEM
  ibrav = 0, nat = 4, ntyp = 3
/
ATOMIC_SPECIES
Ho 164.93 Ho.upf
Hf 178.49 Hf.upf
Ru 101.07 Ru.upf
ATOMIC_POSITIONS angstrom
Ho 0.000 0.000 0.000
Hf 3.311 3.311 3.311
Ru 1.656 1.656 1.656
Ru 4.967 4.967 4.967
CELL_PARAMETERS angstrom
0.000 3.311 3.311
3.311 0.000 3.311
3.311 3.311 0.000
```



Entry 11:
The following is a PBE calculation of SiO2 after structural relaxation, from the Materials Project database. Values from VASP.

Calculated values
**SG**: No. 141
**Energy with MP2020 corrections**: -0.307 Ha/atom

Geometry as Quantum ESPRESSO input:
```
&SYSTEM
  ibrav = 0, nat = 96, ntyp = 2
/
ATOMIC_SPECIES
Si 28.09 Si.upf
O 16.00 O.upf
ATOMIC_POSITIONS angstrom
Si -13.291 0.060 1.938
Si -24.353 -6.363 14.982
Si 1.265 1.348 -5.552
Si -10.872 0.907 7.947
Si -5.248 -2.119 -2.727
Si -8.693 3.782 4.679
Si -10.148 4.479 1.933
Si -4.882 2.932 -1.743
Si -3.238 2.676 -4.269
Si -15.297 -1.492 8.924
Si -19.650 -3.646 9.244
Si -17.498 -5.702 8.267
Si -0.693 -1.083 -5.815
Si -3.487 -0.446 -4.849
Si -0.344 3.973 -4.854
Si 6.042 2.344 -11.765
Si -0.471 -1.123 -8.940
Si -19.800 -5.300 11.901
Si -18.272 -0.915 10.027
Si -9.744 -0.810 5.582
Si -5.207 0.259 2.478
Si -14.786 -4.438 7.826
Si -13.736 0.154 6.924
Si -12.945 -4.639 5.187
Si -10.397 1.357 1.353
Si -8.182 0.836 3.581
Si -8.753 1.101 -1.173
Si -5.816 0.161 -0.618
Si -7.819 3.872 -2.298
Si -12.608 -1.563 4.559
Si -17.648 -7.356 10.924
Si 1.488 1.309 -8.677
O -7.402 0.510 -0.487
O -14.420 1.196 2.214
O -12.421 0.415 7.846
O -8.259 2.250 4.373
O -6.233 3.523 -2.429
O 0.784 2.837 -5.130
O -13.441 -1.037 5.855
O -14.108 1.513 6.124
O -14.046 -5.082 9.118
O -9.684 3.823 5.950
O -23.520 -5.444 16.018
O -11.841 0.753 1.740
O -6.703 0.634 2.972
O 2.873 1.478 -9.510
O -3.632 3.147 -2.759
O -15.221 -2.906 8.133
O -8.579 2.690 -1.473
O -13.778 -5.558 4.150
O -1.794 3.280 -4.656
O 1.818 1.342 -7.084
O -5.057 1.343 -1.443
O -9.192 5.245 0.884
O -9.433 4.426 3.388
O -18.990 -6.661 11.531
O -5.609 -1.237 -1.411
O -18.308 -4.341 8.637
O -5.193 0.021 0.871
O -4.729 -1.095 3.220
O -10.452 2.977 1.400
O -16.123 -5.309 7.496
O -11.515 -5.347 5.497
O -4.443 -1.212 -3.800
O -16.776 -1.290 9.534
O -0.385 5.003 -6.111
O -21.175 -5.693 12.672
O -4.321 -3.369 -2.290
O -17.132 -6.521 9.624
O -9.371 -2.169 6.382
O -7.013 6.712 0.473
O -18.287 -0.676 11.635
O -8.504 -0.372 4.627
O -10.795 2.526 7.989
O -12.684 -3.181 4.517
O -8.026 5.270 -1.505
O -11.964 4.691 7.008
O -3.184 1.056 -4.316
O -10.039 0.381 6.650
O -6.622 -2.679 -3.389
O -13.251 -0.970 3.195
O -19.300 -2.118 9.657
O -14.203 -1.456 10.120
O 0.798 -0.110 -9.075
O -2.078 -1.253 -4.982
O -13.795 -4.479 6.555
O -10.003 0.886 -0.157
O -4.602 3.714 -0.351
O -0.003 0.335 -5.417
O -4.180 1.463 2.849
O -9.277 0.801 2.385
O -14.976 -0.284 7.879
O -1.023 -1.117 -7.408
O -11.058 -1.071 4.659
O -20.167 -4.481 10.544
O -18.878 -4.369 12.856
CELL_PARAMETERS angstrom
-13.819 -10.346 7.663
-14.430 3.808 11.576
9.844 4.689 -15.422
```



Entry 12:
The following is a PBE calculation of Pr3Ho after structural relaxation, from the Materials Project database. Values from VASP.

Calculated values
**Energy relative to the lowest polymorph listed for this composition**: 0.00 eV/f.u.
**SG**: No. 139

Geometry as Quantum ESPRESSO input:
```
&SYSTEM
  ibrav = 0, nat = 4, ntyp = 2
/
ATOMIC_SPECIES
Pr 140.91 Pr.upf
Ho 164.93 Ho.upf
ATOMIC_POSITIONS angstrom
Pr 0.000 2.596 2.615
Pr 2.596 0.000 2.615
Pr 0.000 0.000 5.229
Ho 0.000 0.000 0.000
CELL_PARAMETERS angstrom
-2.596 2.596 5.229
2.596 -2.596 5.229
2.596 2.596 -5.229
```



| no. | E (eV/atom) | DFT formation energy (eV/atom) |
| --- | --- | --- |
| 1 | -4.359 | -2.37 |
| 2 | -4.737 | -0.30 |
| 3 | -3.584 | -0.74 |
| 4 | -6.439 | -0.89 |
| 5 | -5.657 | -2.63 |
| 6 | -3.296 | -0.27 |
| 7 | -7.376 | -0.54 |
| 8 | -1.241 | 0.22 |
| 9 | -5.358 | -1.80 |
| 10 | -8.856 | -0.58 |
| 11 | -7.906 | -3.26 |
| 12 | -4.712 | 0.02 |